First-principles (GGA+U) data for an optimized crystal structure of CrFeP2O8, as listed in Materials Project.

Cell: 4.837 5.848 9.965 Å, 90.00 91.01 90.00°
Space group P2_1/m (No. 11)
Asymmetric unit:
Cr 0.028 0.250 0.272 x2
Fe 0.469 0.250 0.771 x2
P 0.090 0.750 0.408 x2
P 0.420 0.750 0.905 x2
O 0.170 0.750 0.556 x2
O 0.223 0.250 0.615 x2
O 0.234 0.545 0.331 x4
O 0.267 0.547 0.827 x4
O 0.269 0.250 0.114 x2
O 0.348 0.750 0.053 x2

- M_tot (μB/f.u.) = 2.000
- formation enthalpy at 0 K (meV per atom) = -2439
- excess energy over the best structure of this formula in the dataset (kcal/mol of atoms) = 0.000

First-principles (GGA+U) data for an optimized crystal structure of CrFeP2O8, as listed in Materials Project.

Cell: 8.6057 8.6057 20.2975 Å, 90.00 90.00 120.00°
Space group R3 (No. 146, hexagonal axes)
Asymmetric unit:
Cr 0.0000 0.0000 0.0000 x3
Cr 0.0000 0.0000 0.1433 x3
Cr 0.0000 0.0000 0.5017 x3
Fe 0.0000 0.0000 0.3541 x3
Fe 0.0000 0.0000 0.6481 x3
Fe 0.0000 0.0000 0.8547 x3
P 0.9996 0.7006 0.7517 x9
P 0.0008 0.2973 0.2506 x9
O 0.0094 0.8335 0.4296 x9
O 0.0117 0.1779 0.9289 x9
O 0.0124 0.8060 0.8134 x9
O 0.0126 0.2065 0.3132 x9
O 0.1373 0.6769 0.3562 x9
O 0.1385 0.4641 0.8555 x9
O 0.1666 0.4909 0.2399 x9
O 0.1678 0.6765 0.7403 x9

- M_tot (μB/f.u.) = 8.000
- formation enthalpy at 0 K (meV per atom) = -2423
- excess energy over the best structure of this formula in the dataset (kcal/mol of atoms) = 0.372

Please write out number 2 again, unchanged.
First-principles (GGA+U) data for an optimized crystal structure of CrFeP2O8, as listed in Materials Project.

Cell: 8.6057 8.6057 20.2975 Å, 90.00 90.00 120.00°
Space group R3 (No. 146, hexagonal axes)
Asymmetric unit:
Cr 0.0000 0.0000 0.0000 x3
Cr 0.0000 0.0000 0.1433 x3
Cr 0.0000 0.0000 0.5017 x3
Fe 0.0000 0.0000 0.3541 x3
Fe 0.0000 0.0000 0.6481 x3
Fe 0.0000 0.0000 0.8547 x3
P 0.9996 0.7006 0.7517 x9
P 0.0008 0.2973 0.2506 x9
O 0.0094 0.8335 0.4296 x9
O 0.0117 0.1779 0.9289 x9
O 0.0124 0.8060 0.8134 x9
O 0.0126 0.2065 0.3132 x9
O 0.1373 0.6769 0.3562 x9
O 0.1385 0.4641 0.8555 x9
O 0.1666 0.4909 0.2399 x9
O 0.1678 0.6765 0.7403 x9

- M_tot (μB/f.u.) = 8.000
- formation enthalpy at 0 K (meV per atom) = -2423
- excess energy over the best structure of this formula in the dataset (kcal/mol of atoms) = 0.372

What is the formula in the second record? CrFeP2O8